No. 1
This record from the Materials Project describes a relaxed structure of K3InP2. The functional is meta-GGA r2SCAN.

```
12
Lattice="-4.218 -5.155 -1.366 6.015 -4.510 -1.555 -0.640 2.778 8.420" Properties=species:S:1:pos:R:3 pbc="T T T"
K -3.750 -2.524 4.180
K -0.156 -6.121 -1.802
K 1.967 -2.650 3.931
K -0.810 -4.237 1.568
K 1.953 -3.544 -1.119
K 4.906 -4.364 1.319
In -1.055 -1.289 -0.341
In -3.164 -3.867 -1.024
P -1.660 -0.256 6.095
P 2.817 -6.631 -0.595
P 1.189 -1.252 1.053
P -0.033 -5.635 4.446
```

Calculated values
total magnetization	0.00	Bohr magnetons per cell
crystal system	orthorhombic
electronic total energy	-0.75635	Ry per atom
space-group type	Ibam, No. 72
energy of formation	-0.518	eV per atom



No. 2
This record from the Materials Project describes a relaxed structure of Dy6CoTe2. The functional is meta-GGA r2SCAN.

```
9
Lattice="4.159 -7.204 0.000 4.159 7.204 0.000 0.000 0.000 3.946" Properties=species:S:1:pos:R:3 pbc="T T T"
Dy 1.665 2.884 1.973
Dy 4.988 0.000 1.973
Dy 1.665 -2.884 1.973
Dy 3.184 5.516 0.000
Dy 1.949 0.000 0.000
Dy 3.184 -5.516 0.000
Co 8.317 0.000 1.973
Te 4.158 2.401 0.000
Te 4.158 -2.401 0.000
```

Calculated values
total magnetization	2.04	Bohr magnetons per cell
crystal system	hexagonal
electronic total energy	-2.14391	Ry per atom
space-group type	P-62m, No. 189
energy of formation	-0.729	eV per atom



No. 3
This record from the Materials Project describes a relaxed structure of ErI3O9. The functional is meta-GGA r2SCAN.

```
52
Lattice="5.999 0.000 0.000 0.000 8.643 -0.026 0.000 6.854 14.835" Properties=species:S:1:pos:R:3 pbc="T T T"
Er 1.723 3.767 1.542
Er 4.722 8.303 5.850
Er 4.277 11.730 13.267
Er 1.277 7.194 8.960
I 4.870 5.964 2.107
I 1.871 6.106 5.285
I 1.129 9.533 12.703
I 4.128 9.391 9.524
I 3.596 2.768 4.453
I 0.597 9.302 2.939
I 2.403 12.729 10.356
I 5.402 6.195 11.871
I 3.911 1.391 0.306
I 0.912 10.679 7.086
I 2.088 14.106 14.503
I 5.088 4.818 7.724
O 3.632 4.675 2.504
O 0.633 7.395 4.888
O 2.367 10.822 12.305
O 5.366 8.102 9.922
O 5.215 5.561 0.387
O 2.216 6.509 7.005
O 0.784 9.936 14.422
O 3.784 8.988 7.805
O 0.340 5.102 2.752
O 3.340 6.968 4.640
O 5.659 10.395 12.058
O 2.659 8.529 10.169
O 3.078 9.938 5.363
O 0.078 2.132 2.028
O 2.921 5.559 9.446
O 5.921 13.365 12.781
O 0.155 5.182 9.160
O 3.155 13.742 13.067
O 5.844 10.315 5.649
O 2.845 1.755 1.743
O 0.782 8.927 7.604
O 3.782 9.996 14.623
O 5.217 6.570 7.205
O 2.218 5.500 0.187
O 0.392 4.292 6.533
O 3.391 7.778 0.859
O 5.608 11.205 8.277
O 2.608 7.719 13.950
O 1.059 6.547 11.219
O 4.058 12.377 11.009
O 4.940 8.950 3.591
O 1.941 3.120 3.801
O 5.476 7.450 13.186
O 2.476 11.474 9.041
O 0.523 8.047 1.623
O 3.523 4.023 5.768
```

Calculated values
total magnetization	0.00	Bohr magnetons per cell
crystal system	monoclinic
electronic total energy	-0.99415	Ry per atom
space-group type	P2_1/c, No. 14
energy of formation	-1.114	eV per atom